Entry 1:
# Na3DySi6O15

An optimized crystal structure of Na3DySi6O15 (GGA-PBE, the Materials Project database).

space group: Cmce, No. 64

a = 11.658 Å, b = 11.658 Å, c = 10.643 Å
α = 90.00°, β = 90.00°, γ = 101.15°
Sites, in units of the cell vectors:
Dy1 0.160 0.340 0.250
Dy2 0.660 0.840 0.250
Dy3 0.840 0.660 0.750
Dy4 0.340 0.160 0.750
O1 0.922 0.749 0.576
O2 0.391 0.838 0.014
O3 0.662 0.109 0.486
O4 0.841 0.489 0.658
O5 0.928 0.072 0.798
O6 0.485 0.235 0.169
O7 0.765 0.515 0.169
O8 0.659 0.011 0.158
O9 0.989 0.341 0.158
O10 0.000 0.720 0.088
O11 0.109 0.662 0.514
O12 0.428 0.572 0.702
O13 0.891 0.338 0.486
O14 0.611 0.389 0.008
O15 0.338 0.891 0.514
O16 0.251 0.078 0.576
O17 0.572 0.428 0.298
O18 0.847 0.844 0.182
O19 0.162 0.609 0.014
O20 0.985 0.735 0.331
O21 0.780 0.500 0.412
O22 0.111 0.889 0.492
O23 0.653 0.656 0.682
O24 0.220 0.500 0.588
O25 0.344 0.347 0.682
O26 0.153 0.156 0.818
O27 0.000 0.280 0.912
O28 0.889 0.111 0.508
O29 0.249 0.422 0.076
O30 0.749 0.922 0.424
O31 0.656 0.653 0.318
O32 0.667 0.333 0.563
O33 0.341 0.989 0.842
O34 0.511 0.159 0.658
O35 0.578 0.751 0.076
O36 0.333 0.667 0.437
O37 0.156 0.153 0.182
O38 0.609 0.162 0.986
O39 0.015 0.265 0.669
O40 0.072 0.928 0.202
O41 0.751 0.578 0.924
O42 0.500 0.780 0.588
O43 0.280 0.000 0.088
O44 0.489 0.841 0.342
O45 0.265 0.015 0.331
O46 0.159 0.511 0.342
O47 0.422 0.249 0.924
O48 0.389 0.611 0.992
O49 0.844 0.847 0.818
O50 0.011 0.659 0.842
O51 0.347 0.344 0.318
O52 0.078 0.251 0.424
O53 0.720 0.000 0.912
O54 0.235 0.485 0.831
O55 0.735 0.985 0.669
O56 0.833 0.167 0.063
O57 0.515 0.765 0.831
O58 0.167 0.833 0.937
O59 0.838 0.391 0.986
O60 0.500 0.220 0.412
Si1 0.742 0.472 0.020
Si2 0.297 0.916 0.966
Si3 0.703 0.084 0.034
Si4 0.028 0.192 0.800
Si5 0.692 0.528 0.300
Si6 0.242 0.972 0.480
Si7 0.472 0.308 0.300
Si8 0.028 0.758 0.480
Si9 0.758 0.028 0.520
Si10 0.584 0.203 0.534
Si11 0.192 0.028 0.200
Si12 0.972 0.808 0.200
Si13 0.797 0.416 0.534
Si14 0.528 0.258 0.020
Si15 0.528 0.692 0.700
Si16 0.203 0.584 0.466
Si17 0.308 0.472 0.700
Si18 0.084 0.703 0.966
Si19 0.972 0.242 0.520
Si20 0.472 0.742 0.980
Si21 0.916 0.297 0.034
Si22 0.258 0.528 0.980
Si23 0.808 0.972 0.800
Si24 0.416 0.797 0.466
Na1 0.527 0.973 0.750
Na2 0.738 0.738 0.500
Na3 0.473 0.027 0.250
Na4 0.928 0.072 0.250
Na5 0.973 0.527 0.250
Na6 0.072 0.928 0.750
Na7 0.762 0.762 0.000
Na8 0.027 0.473 0.750
Na9 0.572 0.428 0.750
Na10 0.262 0.262 0.500
Na11 0.428 0.572 0.250
Na12 0.238 0.238 0.000

***

Entry 2:
# LiAu

An optimized crystal structure of LiAu (GGA-PBE, the Materials Project database).

space group: Pm-3m, No. 221

a = 3.145 Å, b = 3.145 Å, c = 3.145 Å
α = 90.00°, β = 90.00°, γ = 90.00°
Sites, in units of the cell vectors:
Au1 0.500 0.500 0.500
Li1 0.000 0.000 0.000

***

The records above yield E_tot values of -7.367; -3.134 eV per atom, respectively.